! HoFe5P3, relaxed, DFT PBE; values from VASP
&SYSTEM
  ibrav = 0, nat = 36, ntyp = 3
/
ATOMIC_SPECIES
Ho 164.93 Ho.upf
Fe 55.84 Fe.upf
P 30.97 P.upf
CELL_PARAMETERS angstrom
11.815 0.000 0.000
0.000 3.645 0.000
0.000 0.000 10.285
ATOMIC_POSITIONS crystal
Ho 0.205 0.250 0.081
Ho 0.295 0.750 0.581
Ho 0.705 0.250 0.419
Ho 0.795 0.750 0.919
Fe 0.010 0.750 0.095
Fe 0.012 0.750 0.708
Fe 0.067 0.750 0.463
Fe 0.177 0.250 0.781
Fe 0.201 0.250 0.377
Fe 0.299 0.750 0.877
Fe 0.323 0.750 0.281
Fe 0.433 0.250 0.963
Fe 0.488 0.250 0.208
Fe 0.490 0.250 0.595
Fe 0.510 0.750 0.405
Fe 0.512 0.750 0.792
Fe 0.567 0.750 0.037
Fe 0.677 0.250 0.719
Fe 0.701 0.250 0.123
Fe 0.799 0.750 0.623
Fe 0.823 0.750 0.219
Fe 0.933 0.250 0.537
Fe 0.988 0.250 0.292
Fe 0.990 0.250 0.905
P 0.104 0.750 0.900
P 0.113 0.250 0.578
P 0.128 0.750 0.266
P 0.372 0.250 0.766
P 0.387 0.750 0.078
P 0.396 0.250 0.400
P 0.604 0.750 0.600
P 0.613 0.250 0.922
P 0.628 0.750 0.234
P 0.872 0.250 0.734
P 0.887 0.750 0.422
P 0.896 0.250 0.100
! Energy relative to the elements   -0.745 eV/atom